No. 1
YbGa2Ni | meta-GGA r2SCAN | relaxed

Lattice parameters (Å, degrees): 5.299 5.299 6.541 90.00 90.00 134.84
Fractional positions:
Ga: 0.859 0.141 0.053
Ga: 0.141 0.859 0.553
Ga: 0.141 0.859 0.947
Ga: 0.859 0.141 0.447
Ni: 0.291 0.709 0.250
Ni: 0.709 0.291 0.750
Yb: 0.426 0.574 0.750
Yb: 0.574 0.426 0.250

=====

No. 2
Sr3Ru2O7 | meta-GGA r2SCAN | relaxed

Lattice parameters (Å, degrees): 10.718 10.718 5.519 90.00 90.00 150.16
Fractional positions:
Sr: 0.186 0.814 0.000
Sr: 0.686 0.314 0.500
Sr: 0.500 0.500 0.500
Sr: 0.314 0.686 0.500
Sr: 0.000 0.000 0.000
Sr: 0.814 0.186 0.000
O: 0.883 0.691 0.787
O: 0.695 0.305 0.000
O: 0.117 0.309 0.787
O: 0.309 0.117 0.213
O: 0.691 0.883 0.213
O: 0.805 0.195 0.500
O: 0.000 0.000 0.500
O: 0.617 0.809 0.713
O: 0.195 0.805 0.500
O: 0.383 0.191 0.713
O: 0.305 0.695 0.000
O: 0.809 0.617 0.287
O: 0.500 0.500 0.000
O: 0.191 0.383 0.287
Ru: 0.097 0.903 0.500
Ru: 0.903 0.097 0.500
Ru: 0.403 0.597 0.000
Ru: 0.597 0.403 0.000

=====

No. 3
MnP2O7 | meta-GGA r2SCAN | relaxed

Lattice parameters (Å, degrees): 6.733 9.261 8.849 117.83 99.30 96.60
Fractional positions:
Mn: 0.500 0.000 0.500
Mn: 0.000 0.000 0.000
Mn: 0.500 0.500 0.000
Mn: 0.000 0.500 0.500
O: 0.937 0.506 0.701
O: 0.033 0.665 0.029
O: 0.833 0.283 0.364
O: 0.767 0.584 0.462
O: 0.670 0.019 0.360
O: 0.767 0.084 0.962
O: 0.833 0.783 0.864
O: 0.233 0.416 0.538
O: 0.033 0.165 0.529
O: 0.937 0.006 0.201
O: 0.233 0.916 0.038
O: 0.594 0.811 0.487
O: 0.330 0.981 0.640
O: 0.167 0.717 0.636
O: 0.330 0.481 0.140
O: 0.967 0.835 0.471
O: 0.594 0.311 0.987
O: 0.708 0.142 0.703
O: 0.967 0.335 0.971
O: 0.167 0.217 0.136
O: 0.292 0.358 0.797
O: 0.063 0.494 0.299
O: 0.406 0.189 0.513
O: 0.670 0.519 0.860
O: 0.708 0.642 0.203
O: 0.063 0.994 0.799
O: 0.406 0.689 0.013
O: 0.292 0.858 0.297
P: 0.747 0.712 0.400
P: 0.139 0.380 0.142
P: 0.861 0.620 0.858
P: 0.139 0.880 0.642
P: 0.747 0.212 0.900
P: 0.253 0.788 0.100
P: 0.861 0.120 0.358
P: 0.253 0.288 0.600

=====

No. 4
U3Sb4 | meta-GGA r2SCAN | relaxed

Lattice parameters (Å, degrees): 8.038 8.039 7.892 109.10 109.10 109.84
Fractional positions:
U: 0.875 0.127 0.751
U: 0.125 0.752 0.876
U: 0.373 0.248 0.624
U: 0.627 0.375 0.251
U: 0.252 0.625 0.376
U: 0.748 0.873 0.124
Sb: 0.158 0.160 0.157
Sb: 0.998 0.840 0.498
Sb: 0.002 0.342 0.500
Sb: 0.500 0.000 0.844
Sb: 0.660 0.658 0.658
Sb: 0.842 0.502 0.000
Sb: 0.340 0.498 0.998
Sb: 0.500 0.000 0.344

=====

No. 5
SrAl2O4 | meta-GGA r2SCAN | relaxed

Lattice parameters (Å, degrees): 5.155 5.155 8.502 86.88 86.88 58.83
Fractional positions:
Sr: 0.994 0.980 0.241
Sr: 0.020 0.006 0.759
O: 0.023 0.630 0.971
O: 0.784 0.548 0.257
O: 0.678 0.322 0.000
O: 0.309 0.691 0.500
O: 0.370 0.977 0.029
O: 0.568 0.058 0.429
O: 0.452 0.216 0.743
O: 0.942 0.432 0.571
Al: 0.707 0.627 0.056
Al: 0.650 0.681 0.447
Al: 0.373 0.293 0.944
Al: 0.319 0.350 0.553

=====

No. 6
Mg2NiRh | meta-GGA r2SCAN | relaxed

Lattice parameters (Å, degrees): 4.309 4.309 4.309 60.00 60.00 60.00
Fractional positions:
Ni: 0.500 0.500 0.500
Mg: 0.250 0.250 0.250
Mg: 0.750 0.750 0.750
Rh: 0.000 0.000 0.000

=====

No. 7
Gd2MoO6 | meta-GGA r2SCAN | relaxed

Lattice parameters (Å, degrees): 9.979 9.979 5.421 74.95 74.95 68.15
Fractional positions:
Gd: 0.865 0.135 0.750
Gd: 0.214 0.447 0.381
Gd: 0.553 0.786 0.119
Gd: 0.609 0.391 0.250
Gd: 0.135 0.865 0.250
Gd: 0.786 0.553 0.619
Gd: 0.447 0.214 0.881
Gd: 0.391 0.609 0.750
O: 0.391 0.425 0.579
O: 0.663 0.190 0.585
O: 0.180 0.287 0.138
O: 0.190 0.663 0.085
O: 0.953 0.886 0.984
O: 0.713 0.820 0.362
O: 0.886 0.327 0.363
O: 0.114 0.673 0.637
O: 0.431 0.025 0.264
O: 0.820 0.713 0.862
O: 0.575 0.609 0.921
O: 0.569 0.975 0.736
O: 0.114 0.047 0.516
O: 0.287 0.180 0.638
O: 0.810 0.337 0.915
O: 0.886 0.953 0.484
O: 0.609 0.575 0.421
O: 0.327 0.886 0.863
O: 0.975 0.569 0.236
O: 0.025 0.431 0.764
O: 0.673 0.114 0.137
O: 0.047 0.114 0.016
O: 0.425 0.391 0.079
O: 0.337 0.810 0.415
Mo: 0.704 0.987 0.439
Mo: 0.013 0.296 0.061
Mo: 0.296 0.013 0.561
Mo: 0.987 0.704 0.939

=====

No. 8
LaEuB12 | meta-GGA r2SCAN | relaxed

Lattice parameters (Å, degrees): 4.153 4.153 8.308 90.00 90.00 90.00
Fractional positions:
B: 0.500 0.201 0.250
B: 0.500 0.201 0.750
B: 0.201 0.500 0.750
B: 0.500 0.799 0.250
B: 0.201 0.500 0.250
B: 0.799 0.500 0.750
B: 0.500 0.500 0.900
B: 0.500 0.500 0.400
B: 0.500 0.799 0.750
B: 0.500 0.500 0.600
B: 0.799 0.500 0.250
B: 0.500 0.500 0.100
La: 0.000 0.000 0.500
Eu: 0.000 0.000 0.000

=====

No. 9
Tb2Si5Rh3 | meta-GGA r2SCAN | relaxed

Lattice parameters (Å, degrees): 5.668 8.088 8.088 93.50 108.90 108.90
Fractional positions:
Rh: 0.874 0.539 0.260
Rh: 0.626 0.740 0.461
Rh: 0.750 0.998 0.002
Rh: 0.126 0.461 0.740
Rh: 0.374 0.260 0.539
Rh: 0.250 0.002 0.998
Si: 0.661 0.266 0.057
Si: 0.750 0.789 0.211
Si: 0.250 0.512 0.488
Si: 0.750 0.488 0.512
Si: 0.250 0.211 0.789
Si: 0.750 0.224 0.776
Si: 0.250 0.776 0.224
Si: 0.161 0.057 0.266
Si: 0.839 0.943 0.734
Si: 0.339 0.734 0.943
Tb: 0.239 0.866 0.599
Tb: 0.261 0.401 0.134
Tb: 0.761 0.134 0.401
Tb: 0.739 0.599 0.866

=====

Calculated formation energy per entry: -0.7124 -2.2373 -2.2552 -0.6282 -3.3389 -0.3174 -3.1742 -0.5960 -1.0358 eV/atom